[1]
Compound: Li2SbP3O10
Source: the Materials Project
Functional: PBE
Structure: optimized geometry

a b c (Å): 7.868 10.057 12.920
angles (deg): 77.34 90.00 90.00
Fractional coordinates of all 64 atoms:
O (0.596, 0.356, 0.734)
O (0.891, 0.471, 0.276)
O (0.219, 0.319, 0.658)
O (0.404, 0.644, 0.266)
O (0.904, 0.856, 0.734)
O (0.672, 0.653, 0.888)
O (0.164, 0.591, 0.099)
O (0.609, 0.971, 0.276)
O (0.281, 0.819, 0.658)
O (0.837, 0.969, 0.547)
O (0.836, 0.409, 0.901)
O (0.902, 0.360, 0.671)
O (0.598, 0.860, 0.671)
O (0.663, 0.469, 0.547)
O (0.109, 0.529, 0.724)
O (0.504, 0.725, 0.033)
O (0.163, 0.031, 0.453)
O (0.004, 0.775, 0.967)
O (0.391, 0.029, 0.724)
O (0.590, 0.209, 0.161)
O (0.781, 0.681, 0.342)
O (0.336, 0.091, 0.099)
O (0.758, 0.580, 0.698)
O (0.172, 0.847, 0.112)
O (0.098, 0.640, 0.329)
O (0.719, 0.181, 0.342)
O (0.996, 0.225, 0.033)
O (0.496, 0.275, 0.967)
O (0.410, 0.791, 0.839)
O (0.910, 0.709, 0.161)
O (0.337, 0.531, 0.453)
O (0.242, 0.420, 0.302)
O (0.664, 0.909, 0.901)
O (0.096, 0.144, 0.266)
O (0.090, 0.291, 0.839)
O (0.258, 0.920, 0.302)
O (0.328, 0.347, 0.112)
O (0.828, 0.153, 0.888)
O (0.742, 0.080, 0.698)
O (0.402, 0.140, 0.329)
P (0.071, 0.730, 0.079)
P (0.571, 0.770, 0.921)
P (0.725, 0.445, 0.660)
P (0.275, 0.555, 0.340)
P (0.429, 0.230, 0.079)
P (0.091, 0.380, 0.717)
P (0.409, 0.880, 0.717)
P (0.909, 0.620, 0.283)
P (0.225, 0.055, 0.340)
P (0.929, 0.270, 0.921)
P (0.591, 0.120, 0.283)
P (0.775, 0.945, 0.660)
Sb (0.911, 0.620, 0.820)
Sb (0.411, 0.880, 0.180)
Sb (0.589, 0.120, 0.820)
Sb (0.089, 0.380, 0.180)
Li (0.592, 0.609, 0.429)
Li (0.408, 0.391, 0.571)
Li (0.092, 0.891, 0.571)
Li (0.522, 0.430, 0.856)
Li (0.908, 0.109, 0.429)
Li (0.022, 0.070, 0.144)
Li (0.478, 0.570, 0.144)
Li (0.978, 0.930, 0.856)

Properties
Its total magnetization is 0.000 μB/f.u. Its calculated density is 2.6 Mg/m³. The calculated formation energy is -40.0 eV/f.u. The symmetry is P2_1/c.


[2]
Compound: LiSbP4O12
Source: the Materials Project
Functional: PBE
Structure: optimized geometry

a b c (Å): 7.509 7.509 17.885
angles (deg): 90.00 90.00 95.82
Fractional coordinates of all 72 atoms:
O (0.505, 0.631, 0.690)
O (0.971, 0.109, 0.642)
O (0.923, 0.336, 0.064)
O (0.232, 0.177, 0.134)
O (0.896, 0.327, 0.924)
O (0.731, 0.718, 0.072)
O (0.664, 0.071, 0.716)
O (0.498, 0.785, 0.344)
O (0.891, 0.029, 0.858)
O (0.269, 0.282, 0.572)
O (0.029, 0.891, 0.142)
O (0.104, 0.673, 0.424)
O (0.631, 0.505, 0.310)
O (0.900, 0.304, 0.494)
O (0.327, 0.896, 0.076)
O (0.281, 0.221, 0.730)
O (0.567, 0.352, 0.503)
O (0.221, 0.281, 0.270)
O (0.100, 0.696, 0.994)
O (0.718, 0.731, 0.928)
O (0.495, 0.369, 0.190)
O (0.304, 0.900, 0.506)
O (0.929, 0.336, 0.784)
O (0.648, 0.433, 0.997)
O (0.779, 0.719, 0.770)
O (0.336, 0.929, 0.216)
O (0.071, 0.664, 0.284)
O (0.109, 0.971, 0.358)
O (0.768, 0.823, 0.634)
O (0.173, 0.621, 0.709)
O (0.352, 0.567, 0.497)
O (0.077, 0.664, 0.564)
O (0.673, 0.104, 0.576)
O (0.433, 0.648, 0.003)
O (0.215, 0.502, 0.156)
O (0.823, 0.768, 0.366)
O (0.621, 0.173, 0.291)
O (0.719, 0.779, 0.230)
O (0.369, 0.495, 0.810)
O (0.785, 0.498, 0.656)
O (0.502, 0.215, 0.844)
O (0.379, 0.827, 0.791)
O (0.177, 0.232, 0.866)
O (0.664, 0.077, 0.436)
O (0.827, 0.379, 0.209)
O (0.696, 0.100, 0.006)
O (0.282, 0.269, 0.428)
O (0.336, 0.923, 0.936)
P (0.204, 0.717, 0.503)
P (0.965, 0.231, 0.851)
P (0.360, 0.360, 0.500)
P (0.345, 0.655, 0.750)
P (0.769, 0.035, 0.649)
P (0.035, 0.769, 0.351)
P (0.719, 0.657, 0.691)
P (0.640, 0.640, 0.000)
P (0.796, 0.283, 0.003)
P (0.655, 0.345, 0.250)
P (0.281, 0.343, 0.191)
P (0.657, 0.719, 0.309)
P (0.231, 0.965, 0.149)
P (0.343, 0.281, 0.809)
P (0.283, 0.796, 0.997)
P (0.717, 0.204, 0.497)
Li (0.972, 0.509, 0.136)
Li (0.028, 0.491, 0.636)
Li (0.491, 0.028, 0.364)
Li (0.509, 0.972, 0.864)
Sb (0.769, 0.946, 0.139)
Sb (0.231, 0.054, 0.639)
Sb (0.946, 0.769, 0.861)
Sb (0.054, 0.231, 0.361)

Properties
Its total magnetization is 0.000 μB/f.u. Its calculated density is 2.9 Mg/m³. The calculated formation energy is -43.8 eV/f.u. The symmetry is C222_1.


[3]
Compound: Li5SbP4O14
Source: the Materials Project
Functional: PBE
Structure: optimized geometry

a b c (Å): 7.252 8.577 9.867
angles (deg): 77.45 76.88 68.81
Fractional coordinates of all 48 atoms:
Li (0.033, 0.462, 0.141)
Li (0.247, 0.736, 0.901)
Li (0.554, 0.516, 0.643)
Li (0.967, 0.538, 0.859)
Li (0.662, 0.815, 0.723)
Li (0.338, 0.185, 0.277)
Li (0.446, 0.484, 0.357)
Li (0.753, 0.264, 0.099)
Li (0.315, 0.252, 0.587)
Li (0.685, 0.748, 0.413)
P (0.690, 0.099, 0.452)
P (0.123, 0.637, 0.571)
P (0.877, 0.363, 0.429)
P (0.310, 0.901, 0.548)
P (0.162, 0.145, 0.962)
P (0.838, 0.855, 0.038)
P (0.585, 0.659, 0.056)
P (0.415, 0.341, 0.944)
O (0.499, 0.771, 0.603)
O (0.461, 0.302, 0.093)
O (0.076, 0.205, 0.104)
O (0.308, 0.486, 0.603)
O (0.977, 0.739, 0.150)
O (0.867, 0.343, 0.592)
O (0.628, 0.818, 0.095)
O (0.075, 0.370, 0.340)
O (0.216, 0.059, 0.621)
O (0.769, 0.503, 0.077)
O (0.205, 0.959, 0.961)
O (0.784, 0.941, 0.379)
O (0.133, 0.657, 0.408)
O (0.862, 0.190, 0.399)
O (0.795, 0.041, 0.039)
O (0.925, 0.630, 0.660)
O (0.692, 0.514, 0.397)
O (0.501, 0.229, 0.397)
O (0.924, 0.795, 0.896)
O (0.231, 0.497, 0.923)
O (0.539, 0.698, 0.907)
O (0.023, 0.261, 0.850)
O (0.343, 0.937, 0.387)
O (0.657, 0.063, 0.613)
O (0.372, 0.182, 0.905)
O (0.399, 0.651, 0.173)
O (0.138, 0.810, 0.601)
O (0.601, 0.349, 0.827)
Sb (0.124, 0.853, 0.240)
Sb (0.876, 0.147, 0.760)

Properties
Its total magnetization is 0.002 μB/f.u. Its calculated density is 3.0 Mg/m³. The calculated formation energy is -62.1 eV/f.u. The symmetry is P-1.


[4]
Compound: LiSbP4O12
Source: the Materials Project
Functional: PBE
Structure: optimized geometry

a b c (Å): 13.423 7.464 12.037
angles (deg): 55.18 90.00 90.00
Fractional coordinates of all 72 atoms:
P (0.876, 0.581, 0.296)
P (0.409, 0.494, 0.799)
P (0.913, 0.048, 0.226)
P (0.413, 0.952, 0.274)
P (0.625, 0.845, 0.257)
P (0.125, 0.155, 0.243)
P (0.376, 0.419, 0.204)
P (0.875, 0.845, 0.757)
P (0.087, 0.952, 0.774)
P (0.375, 0.155, 0.743)
P (0.909, 0.506, 0.701)
P (0.624, 0.581, 0.796)
P (0.124, 0.419, 0.704)
P (0.091, 0.494, 0.299)
P (0.587, 0.048, 0.726)
P (0.591, 0.506, 0.201)
O (0.971, 0.990, 0.726)
O (0.887, 0.797, 0.288)
O (0.698, 0.963, 0.146)
O (0.471, 0.010, 0.774)
O (0.403, 0.813, 0.426)
O (0.529, 0.990, 0.226)
O (0.795, 0.444, 0.396)
O (0.878, 0.276, 0.800)
O (0.613, 0.797, 0.788)
O (0.344, 0.359, 0.926)
O (0.481, 0.538, 0.140)
O (0.365, 0.372, 0.345)
O (0.519, 0.462, 0.860)
O (0.302, 0.037, 0.854)
O (0.658, 0.763, 0.401)
O (0.355, 0.877, 0.201)
O (0.844, 0.641, 0.574)
O (0.135, 0.372, 0.845)
O (0.205, 0.556, 0.604)
O (0.198, 0.037, 0.354)
O (0.097, 0.813, 0.926)
O (0.842, 0.763, 0.901)
O (0.420, 0.371, 0.725)
O (0.080, 0.371, 0.225)
O (0.903, 0.187, 0.074)
O (0.029, 0.010, 0.274)
O (0.656, 0.641, 0.074)
O (0.920, 0.629, 0.775)
O (0.622, 0.276, 0.300)
O (0.705, 0.444, 0.896)
O (0.981, 0.462, 0.360)
O (0.580, 0.629, 0.275)
O (0.342, 0.237, 0.599)
O (0.019, 0.538, 0.640)
O (0.145, 0.877, 0.701)
O (0.378, 0.724, 0.700)
O (0.387, 0.203, 0.212)
O (0.635, 0.628, 0.655)
O (0.865, 0.628, 0.155)
O (0.855, 0.123, 0.299)
O (0.597, 0.187, 0.574)
O (0.122, 0.724, 0.200)
O (0.113, 0.203, 0.712)
O (0.802, 0.963, 0.646)
O (0.158, 0.237, 0.099)
O (0.295, 0.556, 0.104)
O (0.645, 0.123, 0.799)
O (0.156, 0.359, 0.426)
Sb (0.287, 0.522, 0.428)
Sb (0.713, 0.478, 0.572)
Sb (0.213, 0.522, 0.928)
Sb (0.787, 0.478, 0.072)
Li (0.216, 0.842, 0.043)
Li (0.284, 0.842, 0.543)
Li (0.716, 0.158, 0.457)
Li (0.784, 0.158, 0.957)

Properties
Its total magnetization is 0.000 μB/f.u. Its calculated density is 3.0 Mg/m³. The calculated formation energy is -44.5 eV/f.u. The symmetry is P2_1/c.


[5]
Compound: Li3Sb2P3O12
Source: the Materials Project
Functional: PBE
Structure: optimized geometry

a b c (Å): 9.204 9.168 15.920
angles (deg): 54.92 90.00 90.00
Fractional coordinates of all 80 atoms:
O (0.374, 0.338, 0.551)
O (0.030, 0.938, 0.725)
O (0.286, 0.649, 0.409)
O (0.670, 0.622, 0.066)
O (0.830, 0.622, 0.566)
O (0.786, 0.351, 0.091)
O (0.470, 0.938, 0.225)
O (0.170, 0.378, 0.434)
O (0.941, 0.200, 0.946)
O (0.369, 0.439, 0.070)
O (0.754, 0.944, 0.708)
O (0.542, 0.624, 0.735)
O (0.098, 0.239, 0.332)
O (0.097, 0.905, 0.172)
O (0.086, 0.902, 0.451)
O (0.441, 0.800, 0.554)
O (0.131, 0.439, 0.570)
O (0.869, 0.561, 0.430)
O (0.958, 0.624, 0.235)
O (0.042, 0.376, 0.765)
O (0.458, 0.376, 0.265)
O (0.403, 0.905, 0.672)
O (0.597, 0.095, 0.328)
O (0.559, 0.200, 0.446)
O (0.626, 0.662, 0.449)
O (0.330, 0.378, 0.934)
O (0.254, 0.056, 0.792)
O (0.126, 0.338, 0.051)
O (0.586, 0.098, 0.049)
O (0.970, 0.062, 0.275)
O (0.530, 0.062, 0.775)
O (0.874, 0.662, 0.949)
O (0.914, 0.098, 0.549)
O (0.746, 0.944, 0.208)
O (0.059, 0.800, 0.054)
O (0.714, 0.351, 0.591)
O (0.902, 0.761, 0.668)
O (0.246, 0.056, 0.292)
O (0.765, 0.356, 0.792)
O (0.735, 0.356, 0.292)
O (0.265, 0.644, 0.708)
O (0.631, 0.561, 0.930)
O (0.903, 0.095, 0.828)
O (0.214, 0.649, 0.909)
O (0.598, 0.761, 0.168)
O (0.235, 0.644, 0.208)
O (0.414, 0.902, 0.951)
O (0.402, 0.239, 0.832)
Sb (0.954, 0.338, 0.401)
Sb (0.546, 0.338, 0.901)
Sb (0.541, 0.156, 0.595)
Sb (0.959, 0.156, 0.095)
Sb (0.459, 0.844, 0.405)
Sb (0.041, 0.844, 0.905)
Sb (0.046, 0.662, 0.599)
Sb (0.454, 0.662, 0.099)
P (0.760, 0.545, 0.509)
P (0.740, 0.545, 0.009)
P (0.240, 0.455, 0.491)
P (0.588, 0.260, 0.335)
P (0.260, 0.455, 0.991)
P (0.412, 0.740, 0.665)
P (0.601, 0.937, 0.163)
P (0.101, 0.063, 0.337)
P (0.912, 0.260, 0.835)
P (0.899, 0.937, 0.663)
P (0.399, 0.063, 0.837)
P (0.088, 0.740, 0.165)
Li (0.232, 0.390, 0.816)
Li (0.605, 0.785, 0.799)
Li (0.105, 0.215, 0.701)
Li (0.268, 0.390, 0.316)
Li (0.895, 0.785, 0.299)
Li (0.395, 0.215, 0.201)
Li (0.732, 0.610, 0.684)
Li (0.223, 0.825, 0.756)
Li (0.723, 0.175, 0.744)
Li (0.777, 0.175, 0.244)
Li (0.768, 0.610, 0.184)
Li (0.277, 0.825, 0.256)

Properties
Its total magnetization is 0.000 μB/f.u. Its calculated density is 3.3 Mg/m³. The calculated formation energy is -49.1 eV/f.u. The symmetry is P2_1/c.


[6]
Compound: LiSb2P5O18
Source: the Materials Project
Functional: PBE
Structure: optimized geometry

a b c (Å): 6.609 9.725 10.203
angles (deg): 95.12 93.28 92.90
Fractional coordinates of all 52 atoms:
O (0.642, 0.067, 0.907)
O (0.338, 0.906, 0.823)
O (0.784, 0.831, 0.510)
O (0.358, 0.933, 0.093)
O (0.740, 0.085, 0.487)
O (0.628, 0.845, 0.246)
O (0.216, 0.169, 0.490)
O (0.032, 0.806, 0.961)
O (0.455, 0.661, 0.578)
O (0.260, 0.915, 0.513)
O (0.897, 0.570, 0.904)
O (0.925, 0.337, 0.394)
O (0.965, 0.017, 0.685)
O (0.035, 0.983, 0.315)
O (0.996, 0.339, 0.797)
O (0.752, 0.561, 0.403)
O (0.248, 0.439, 0.597)
O (0.227, 0.244, 0.234)
O (0.315, 0.614, 0.802)
O (0.407, 0.040, 0.326)
O (0.349, 0.246, 0.013)
O (0.279, 0.524, 0.313)
O (0.593, 0.960, 0.674)
O (0.721, 0.476, 0.687)
O (0.004, 0.661, 0.203)
O (0.658, 0.368, 0.907)
O (0.372, 0.155, 0.754)
O (0.075, 0.663, 0.606)
O (0.662, 0.094, 0.177)
O (0.545, 0.339, 0.422)
O (0.342, 0.632, 0.093)
O (0.103, 0.430, 0.096)
O (0.968, 0.194, 0.039)
O (0.773, 0.756, 0.766)
O (0.685, 0.386, 0.198)
O (0.651, 0.754, 0.987)
P (0.726, 0.402, 0.352)
P (0.478, 0.032, 0.786)
P (0.822, 0.426, 0.816)
P (0.211, 0.011, 0.412)
P (0.274, 0.598, 0.648)
P (0.164, 0.275, 0.094)
P (0.836, 0.725, 0.906)
P (0.522, 0.968, 0.214)
P (0.789, 0.989, 0.588)
P (0.178, 0.574, 0.184)
Sb (0.339, 0.773, 0.958)
Sb (0.661, 0.227, 0.042)
Sb (0.763, 0.656, 0.588)
Sb (0.237, 0.344, 0.412)
Li (0.888, 0.813, 0.305)
Li (0.112, 0.187, 0.695)

Properties
Its total magnetization is 0.002 μB/f.u. Its calculated density is 3.5 Mg/m³. The calculated formation energy is -60.4 eV/f.u. The symmetry is P-1.